# 1
TbZn2 after structural relaxation. Source: the Materials Project database, functional PBE.

Values from the calculation:
As for the space group: Imma. The total energy comes out at -2.777 eV/atom. The value obtained for the theoretical density is 7875 kg/m3.

Cell and atoms, written as POSCAR:
```
TbZn2
1.0
-3.010 -1.191 3.115
2.308 -2.685 4.444
-0.612 3.860 4.124
Zn Tb
4 2
direct
0.166 0.790 0.878
0.834 0.622 0.710
0.166 0.378 0.290
0.834 0.210 0.122
0.530 0.220 0.720
0.470 0.780 0.280
```

=====

# 2
Tb2Zn17 after structural relaxation. Source: the Materials Project database, functional PBE.

Values from the calculation:
As for the space group: P6_3/mmc. The total energy comes out at -1.863 eV/atom. The value obtained for the theoretical density is 7720 kg/m3.

Cell and atoms, written as POSCAR:
```
Tb2Zn17
1.0
4.494 -7.784 0.000
4.494 7.784 0.000
0.000 0.000 8.792
Zn Tb
34 4
direct
0.000 0.500 0.000
0.633 0.961 0.250
0.633 0.671 0.250
0.329 0.367 0.250
0.367 0.039 0.750
0.500 0.000 0.000
0.162 0.838 0.521
0.323 0.162 0.479
0.671 0.633 0.750
0.039 0.671 0.250
0.323 0.162 0.021
0.500 0.500 0.000
0.961 0.633 0.750
0.838 0.677 0.021
0.667 0.333 0.899
0.162 0.323 0.979
0.162 0.838 0.979
0.671 0.039 0.750
0.838 0.162 0.479
0.333 0.667 0.399
0.667 0.333 0.601
0.329 0.961 0.250
0.838 0.677 0.479
0.333 0.667 0.101
0.162 0.323 0.521
0.367 0.329 0.750
0.500 0.500 0.500
0.000 0.500 0.500
0.677 0.838 0.979
0.500 0.000 0.500
0.838 0.162 0.021
0.039 0.367 0.250
0.961 0.329 0.750
0.677 0.838 0.521
0.667 0.333 0.250
0.000 0.000 0.250
0.333 0.667 0.750
0.000 0.000 0.750
```

=====

# 3
TbZr after structural relaxation. Source: the Materials Project database, functional PBE.

Values from the calculation:
As for the space group: P-6m2. The calculation puts the total magnetization at 0.050 μB per atom. The total energy comes out at -6.472 eV/atom. The value obtained for the theoretical density is 7642 kg/m3.

Cell and atoms, written as POSCAR:
```
TbZr
1.0
1.573 1.344 -2.697
-1.909 -2.789 -0.361
-4.346 3.103 -0.989
Zr Tb
1 1
direct
0.000 0.000 0.000
0.333 0.667 0.500
```

=====

# 4
Tc3Te after structural relaxation. Source: the Materials Project database, functional PBE.

Values from the calculation:
As for the space group: Fm-3m. The calculation puts the total magnetization at 0.124 μB per atom. The total energy comes out at -8.145 eV/atom. The value obtained for the theoretical density is 10864 kg/m3.

Cell and atoms, written as POSCAR:
```
Tc3Te
1.0
-3.497 -2.625 1.063
-3.411 1.666 2.416
-4.003 0.691 -1.937
Tc Te
3 1
direct
0.250 0.250 0.250
0.500 0.500 0.500
0.750 0.750 0.750
0.000 0.000 0.000
```

=====

# 5
Tc2Te5 after structural relaxation. Source: the Materials Project database, functional PBE.

Values from the calculation:
As for the space group: Pbca. The calculation puts the total magnetization at 0.000 μB per atom. The total energy comes out at -5.477 eV/atom. The value obtained for the theoretical density is 6603 kg/m3.

Cell and atoms, written as POSCAR:
```
Tc2Te5
1.0
-2.102 -11.814 -5.377
12.700 -3.159 1.975
-3.351 -5.330 13.020
Te Tc
60 24
direct
0.177 0.073 0.120
0.641 0.612 0.225
0.183 0.615 0.115
0.199 0.348 0.016
0.801 0.152 0.516
0.564 0.290 0.608
0.359 0.888 0.725
0.064 0.710 0.892
0.961 0.822 0.126
0.699 0.152 0.016
0.936 0.790 0.392
0.323 0.573 0.880
0.919 0.057 0.289
0.064 0.210 0.608
0.961 0.322 0.374
0.419 0.443 0.289
0.817 0.385 0.885
0.317 0.115 0.885
0.000 0.000 0.000
0.859 0.612 0.725
0.081 0.943 0.711
0.823 0.927 0.880
0.141 0.388 0.275
0.539 0.822 0.626
0.581 0.557 0.711
0.039 0.678 0.626
0.177 0.573 0.380
0.936 0.290 0.108
0.317 0.615 0.615
0.323 0.073 0.620
0.183 0.115 0.385
0.461 0.178 0.374
0.500 0.000 0.500
0.683 0.885 0.115
0.039 0.178 0.874
0.419 0.943 0.211
0.436 0.710 0.392
0.500 0.500 0.000
0.199 0.848 0.484
0.081 0.443 0.789
0.801 0.652 0.984
0.461 0.678 0.126
0.817 0.885 0.615
0.677 0.427 0.120
0.301 0.848 0.984
0.699 0.652 0.484
0.436 0.210 0.108
0.359 0.388 0.775
0.141 0.888 0.225
0.683 0.385 0.385
0.581 0.057 0.789
0.823 0.427 0.620
0.564 0.790 0.892
0.000 0.500 0.500
0.919 0.557 0.211
0.301 0.348 0.516
0.859 0.112 0.775
0.539 0.322 0.874
0.677 0.927 0.380
0.641 0.112 0.275
0.559 0.547 0.387
0.492 0.866 0.051
0.992 0.634 0.051
0.508 0.134 0.949
0.367 0.529 0.452
0.133 0.029 0.548
0.492 0.366 0.449
0.133 0.529 0.952
0.441 0.953 0.887
0.367 0.029 0.048
0.867 0.471 0.048
0.008 0.366 0.949
0.559 0.047 0.113
0.941 0.047 0.613
0.633 0.971 0.952
0.508 0.634 0.551
0.059 0.953 0.387
0.633 0.471 0.548
0.059 0.453 0.113
0.941 0.547 0.887
0.867 0.971 0.452
0.992 0.134 0.449
0.441 0.453 0.613
0.008 0.866 0.551
```

=====

# 6
ThTc2 after structural relaxation. Source: the Materials Project database, functional PBE.

Values from the calculation:
As for the space group: P6_3/mmc. The total energy comes out at -9.519 eV/atom. The value obtained for the theoretical density is 12083 kg/m3.

Cell and atoms, written as POSCAR:
```
ThTc2
1.0
1.730 1.818 -4.638
-5.097 -1.196 0.628
-1.787 9.152 2.922
Tc Th
8 4
direct
0.000 0.000 0.500
0.830 0.170 0.250
0.661 0.830 0.750
0.830 0.661 0.250
0.170 0.339 0.750
0.170 0.830 0.750
0.339 0.170 0.250
0.000 0.000 0.000
0.667 0.333 0.935
0.667 0.333 0.565
0.333 0.667 0.435
0.333 0.667 0.065
```

=====

# 7
Th2ZnTc after structural relaxation. Source: the Materials Project database, functional PBE.

Values from the calculation:
As for the space group: Fm-3m. The calculation puts the total magnetization at 0.001 μB per atom. The total energy comes out at -6.731 eV/atom. The value obtained for the theoretical density is 10983 kg/m3.

Cell and atoms, written as POSCAR:
```
Th2ZnTc
1.0
0.000 3.620 3.620
3.620 0.000 3.620
3.620 3.620 0.000
Th Zn Tc
2 1 1
direct
0.750 0.750 0.750
0.250 0.250 0.250
0.000 0.000 0.000
0.500 0.500 0.500
```

=====

# 8
TiTc after structural relaxation. Source: the Materials Project database, functional PBE.

Values from the calculation:
As for the space group: Pm-3m. The total energy comes out at -9.625 eV/atom. The value obtained for the theoretical density is 8077 kg/m3.

Cell and atoms, written as POSCAR:
```
TiTc
1.0
-3.075 -0.441 -0.002
0.094 -0.638 -3.039
0.431 -3.009 0.645
Ti Tc
1 1
direct
0.500 0.500 0.500
0.000 0.000 0.000
```

=====

# 9
TmUTc2 after structural relaxation. Source: the Materials Project database, functional PBE.

Values from the calculation:
As for the space group: Fm-3m. The calculation puts the total magnetization at 0.202 μB per atom. The total energy comes out at -9.153 eV/atom. The value obtained for the theoretical density is 12958 kg/m3.

Cell and atoms, written as POSCAR:
```
TmUTc2
1.0
0.000 3.381 3.381
3.381 0.000 3.381
3.381 3.381 0.000
Tm Tc U
1 2 1
direct
0.000 0.000 0.000
0.750 0.750 0.750
0.250 0.250 0.250
0.500 0.500 0.500
```

=====

# 10
Tm2ZnTc after structural relaxation. Source: the Materials Project database, functional PBE.

Values from the calculation:
As for the space group: Fm-3m. The calculation puts the total magnetization at 0.001 μB per atom. The total energy comes out at -5.345 eV/atom. The value obtained for the theoretical density is 10217 kg/m3.

Cell and atoms, written as POSCAR:
```
Tm2ZnTc
1.0
0.000 3.441 3.441
3.441 0.000 3.441
3.441 3.441 0.000
Tm Zn Tc
2 1 1
direct
0.250 0.250 0.250
0.750 0.750 0.750
0.000 0.000 0.000
0.500 0.500 0.500
```

=====

# 11
U2Tc after structural relaxation. Source: the Materials Project database, functional PBE.

Values from the calculation:
As for the space group: C2/m. The calculation puts the total magnetization at 0.038 μB per atom. The total energy comes out at -10.942 eV/atom. The value obtained for the theoretical density is 16870 kg/m3.

Cell and atoms, written as POSCAR:
```
U2Tc
1.0
-2.310 -1.599 -1.181
-3.077 2.060 3.231
-0.228 6.395 -4.279
Tc U
2 4
direct
0.676 0.000 0.351
0.324 0.000 0.649
0.000 0.000 0.000
0.169 0.500 0.337
0.500 0.500 0.000
0.831 0.500 0.663
```

=====

# 12
VTc after structural relaxation. Source: the Materials Project database, functional PBE.

Values from the calculation:
As for the space group: Pm-3m. The total energy comes out at -10.095 eV/atom. The value obtained for the theoretical density is 8926 kg/m3.

Cell and atoms, written as POSCAR:
```
VTc
1.0
3.026 0.000 0.000
0.000 3.026 0.000
0.000 0.000 3.026
V Tc
1 1
direct
0.500 0.500 0.500
0.000 0.000 0.000
```

=====

# 13
TcW after structural relaxation. Source: the Materials Project database, functional PBE.

Values from the calculation:
As for the space group: Cmmm. The calculation puts the total magnetization at 0.000 μB per atom. The total energy comes out at -11.554 eV/atom. The value obtained for the theoretical density is 15075 kg/m3.

Cell and atoms, written as POSCAR:
```
TcW
1.0
1.556 -2.259 0.000
1.556 2.259 0.000
0.000 0.000 4.415
W Tc
1 1
direct
0.500 0.500 0.500
0.000 0.000 0.000
```

=====

# 14
ZrTc2W after structural relaxation. Source: the Materials Project database, functional PBE.

Values from the calculation:
As for the space group: Fm-3m. The total energy comes out at -10.817 eV/atom. The value obtained for the theoretical density is 11858 kg/m3.

Cell and atoms, written as POSCAR:
```
ZrTc2W
1.0
0.000 3.207 3.207
3.207 0.000 3.207
3.207 3.207 0.000
Tc W Zr
2 1 1
direct
0.250 0.250 0.250
0.750 0.750 0.750
0.500 0.500 0.500
0.000 0.000 0.000
```

=====

# 15
YTc2 after structural relaxation. Source: the Materials Project database, functional PBE.

Values from the calculation:
As for the space group: P6_3/mmc. The total energy comes out at -9.239 eV/atom. The value obtained for the theoretical density is 8475 kg/m3.

Cell and atoms, written as POSCAR:
```
YTc2
1.0
-1.178 4.836 2.055
-0.508 -0.874 -5.289
-8.420 -2.576 1.234
Tc Y
8 4
direct
0.171 0.829 0.750
0.171 0.342 0.750
0.000 0.000 0.500
0.829 0.171 0.250
0.342 0.171 0.250
0.658 0.829 0.750
0.000 0.000 0.000
0.829 0.658 0.250
0.333 0.667 0.436
0.667 0.333 0.936
0.333 0.667 0.064
0.667 0.333 0.564
```

=====

# 16
Zn7Tc after structural relaxation. Source: the Materials Project database, functional PBE.

Values from the calculation:
As for the space group: Fm-3m. The total energy comes out at -2.463 eV/atom. The value obtained for the theoretical density is 7891 kg/m3.

Cell and atoms, written as POSCAR:
```
Zn7Tc
1.0
0.000 3.882 3.882
3.882 0.000 3.882
3.882 3.882 0.000
Zn Tc
7 1
direct
0.000 0.500 0.000
0.500 0.500 0.500
0.000 0.000 0.500
0.500 0.000 0.500
0.000 0.500 0.500
0.500 0.000 0.000
0.500 0.500 0.000
0.000 0.000 0.000
```

=====

# 17
ZrTc2 after structural relaxation. Source: the Materials Project database, functional PBE.

Values from the calculation:
As for the space group: P6_3/mmc. The total energy comes out at -10.071 eV/atom. The value obtained for the theoretical density is 9193 kg/m3.

Cell and atoms, written as POSCAR:
```
ZrTc2
1.0
-1.212 4.709 1.903
3.132 -3.183 2.707
6.999 3.440 -4.053
Zr Tc
4 8
direct
0.333 0.667 0.937
0.333 0.667 0.563
0.667 0.333 0.063
0.667 0.333 0.437
0.343 0.171 0.750
0.000 0.000 0.500
0.829 0.657 0.750
0.829 0.171 0.750
0.657 0.829 0.250
0.000 0.000 0.000
0.171 0.343 0.250
0.171 0.829 0.250
```

=====

# 18
ThTe3 after structural relaxation. Source: the Materials Project database, functional PBE.

Values from the calculation:
As for the space group: P2_1/m. The total energy comes out at -5.184 eV/atom. The value obtained for the theoretical density is 6844 kg/m3.

Cell and atoms, written as POSCAR:
```
ThTe3
1.0
-4.438 0.000 0.000
0.000 -6.265 0.000
0.000 1.449 10.729
Th Te
2 6
direct
0.250 0.715 0.846
0.750 0.285 0.154
0.250 0.236 0.938
0.750 0.450 0.676
0.250 0.550 0.324
0.250 0.106 0.330
0.750 0.894 0.670
0.750 0.764 0.062
```

=====

# 19
ThTe after structural relaxation. Source: the Materials Project database, functional PBE.

Values from the calculation:
As for the space group: Pm-3m. The total energy comes out at -6.379 eV/atom. The value obtained for the theoretical density is 10452 kg/m3.

Cell and atoms, written as POSCAR:
```
ThTe
1.0
-0.860 3.459 -1.458
-2.514 -1.642 -2.412
-2.788 0.413 2.625
Te Th
1 1
direct
0.000 0.000 0.000
0.500 0.500 0.500
```

=====

# 20
TiTe after structural relaxation. Source: the Materials Project database, functional PBE.

Values from the calculation:
As for the space group: P6_3/mmc. The calculation puts the total magnetization at 0.000 μB per atom. The total energy comes out at -6.127 eV/atom. The value obtained for the theoretical density is 6838 kg/m3.

Cell and atoms, written as POSCAR:
```
TiTe
1.0
-1.835 -3.179 0.000
-1.835 3.179 0.000
0.000 0.000 -7.302
Ti Te
2 2
direct
0.000 0.000 0.000
0.000 0.000 0.500
0.667 0.333 0.250
0.333 0.667 0.750
```

=====

# 21
TiTe after structural relaxation. Source: the Materials Project database, functional PBE.

Values from the calculation:
As for the space group: P6_3/mmc. The calculation puts the total magnetization at 0.000 μB per atom. The total energy comes out at -5.885 eV/atom. The value obtained for the theoretical density is 6681 kg/m3.

Cell and atoms, written as POSCAR:
```
TiTe
1.0
-1.503 1.890 2.704
-1.659 -0.193 -3.218
-3.743 -6.275 2.306
Ti Te
2 2
direct
0.333 0.667 0.250
0.667 0.333 0.750
0.000 0.000 0.500
0.000 0.000 0.000
```

=====

# 22
Ti5Te4 after structural relaxation. Source: the Materials Project database, functional PBE.

Values from the calculation:
As for the space group: I4/m. The total energy comes out at -6.471 eV/atom. The value obtained for the theoretical density is 6386 kg/m3.

Cell and atoms, written as POSCAR:
```
Ti5Te4
1.0
-0.780 -0.047 7.423
-2.664 1.363 -6.838
-0.903 -7.384 -0.611
Te Ti
4 5
direct
0.942 0.280 0.222
0.058 0.720 0.778
0.720 0.942 0.663
0.280 0.058 0.337
0.623 0.686 0.309
0.377 0.314 0.691
0.000 0.000 0.000
0.314 0.623 0.937
0.686 0.377 0.063
```

=====

no.,energy of formation (eV/atom)
1,-0.392
2,-0.248
3,0.119
4,0.306
5,-0.573
6,-0.140
7,-0.119
8,-0.497
9,-0.031
10,-0.202
11,0.039
12,-0.372
13,0.106
14,-0.260
15,-0.177
16,-0.066
17,-0.315
18,-1.290
19,-1.311
20,-0.818
21,-0.577
22,-0.875